Computed, not measured: a relaxed structure of CuH10C2O8 at the PBE-GGA level of DFT.

Summary:
DFT formation energy: -25.1 eV/f.u.
electronic total energy: -462.884 eV for the cell shown

Cell: 8.0874 8.1895 13.8302 Å, 90.00 115.11 90.00°
With the nearest neighbours (Å) after each atom.
Space group P2_1/c (No. 14)
Unique sites:
Cu 0.0000 0.0000 0.0000 (multiplicity 2)  4 O 1.97-2.01
Cu 0.5000 0.0000 0.5000 (multiplicity 2)  4 O 1.96-2.02
H 0.0145 0.1059 0.2121 (multiplicity 4)  1 O 1.00
H 0.0853 0.6699 0.1689 (multiplicity 4)  1 O 0.99
H 0.1637 0.6986 0.9562 (multiplicity 4)  1 C 1.10
H 0.1847 0.1978 0.2065 (multiplicity 4)  1 O 1.00
H 0.2510 0.7232 0.2753 (multiplicity 4)  1 O 1.01
H 0.2780 0.0416 0.7506 (multiplicity 4)  1 O 1.01
H 0.2868 0.5326 0.7680 (multiplicity 4)  1 O 1.00
H 0.3384 0.1981 0.0440 (multiplicity 4)  1 C 1.10
H 0.4138 0.1791 0.8269 (multiplicity 4)  1 O 0.99
H 0.4795 0.6157 0.7890 (multiplicity 4)  1 O 1.00
C 0.2239 0.2268 0.4890 (multiplicity 4)  1 H 1.10
C 0.2777 0.7269 0.5123 (multiplicity 4)  1 H 1.10
O 0.0625 0.2150 0.9533 (multiplicity 4)  1 C 1.28
O 0.1135 0.0936 0.1879 (multiplicity 4)  2 H 1.00
O 0.1606 0.6315 0.2426 (multiplicity 4)  2 H 0.99-1.01
O 0.2478 0.5861 0.5394 (multiplicity 4)  1 C 1.27
O 0.2533 0.0861 0.4614 (multiplicity 4)  1 C 1.27
O 0.3428 0.1467 0.7514 (multiplicity 4)  2 H 0.99-1.01
O 0.3815 0.6121 0.8148 (multiplicity 4)  2 H 1.00
O 0.4389 0.7138 0.0494 (multiplicity 4)  1 C 1.28